Entry 1:
! Li2MnSnO4 (GGA+U, optimized geometry); values from VASP
! E (MP2020), eV/cell: -215.2
! Size of the total moment, μB per formula unit: 0.000
! VASP energy, eV per atom: -6.172
! Distance to the lowest polymorph of the same formula, meV per atom: 13
! ΔH_f (0 K), meV/atom: -2127
&SYSTEM
  ibrav = 0, nat = 32, ntyp = 4
/
ATOMIC_SPECIES
Li 6.94 Li.upf
Mn 54.94 Mn.upf
Sn 118.71 Sn.upf
O 16.00 O.upf
ATOMIC_POSITIONS crystal
Li 0.2500 0.5000 0.7500
Li 0.7500 0.5000 0.2500
Li 0.5000 0.0000 0.5000
Li 0.0000 0.0000 0.0000
Li 0.3750 0.7500 0.1250
Li 0.8750 0.7500 0.6250
Li 0.6250 0.2500 0.8750
Li 0.1250 0.2500 0.3750
Mn 0.0000 0.0000 0.5000
Mn 0.2500 0.5000 0.2500
Mn 0.5000 0.0000 0.0000
Mn 0.7500 0.5000 0.7500
Sn 0.8750 0.7500 0.1250
Sn 0.3750 0.7500 0.6250
Sn 0.1250 0.2500 0.8750
Sn 0.6250 0.2500 0.3750
O 0.7993 0.1315 0.2008
O 0.2992 0.1315 0.7007
O 0.0493 0.6315 0.9508
O 0.5492 0.6315 0.4507
O 0.2007 0.8685 0.7992
O 0.7008 0.8685 0.2993
O 0.4507 0.3685 0.5492
O 0.9508 0.3685 0.0493
O 0.6872 0.8665 0.8128
O 0.1872 0.8665 0.3128
O 0.9372 0.3665 0.5628
O 0.4372 0.3665 0.0628
O 0.3128 0.1335 0.1872
O 0.8128 0.1335 0.6872
O 0.5628 0.6335 0.9372
O 0.0628 0.6335 0.4372
CELL_PARAMETERS angstrom
5.3244 -1.7130 2.6384
1.7670 8.7790 5.3613
-5.3244 -1.5648 2.7289

Entry 2:
! KBaGdWO6 (GGA+U, optimized geometry); values from VASP
! Space group: Pnnn
! E (MP2020), eV/cell: -356.6
! Size of the total moment, μB per formula unit: 7.000
! VASP energy, eV per atom: -8.059
! ΔH_f (0 K), meV/atom: -2939
&SYSTEM
  ibrav = 0, nat = 40, ntyp = 5
/
ATOMIC_SPECIES
K 39.10 K.upf
Ba 137.33 Ba.upf
Gd 157.25 Gd.upf
W 183.84 W.upf
O 16.00 O.upf
ATOMIC_POSITIONS crystal
K 0.0000 0.5000 0.5000
K 0.5000 0.0000 0.5000
K 0.5000 0.0000 0.0000
K 0.0000 0.5000 0.0000
Ba 0.5000 0.5000 0.0000
Ba 0.0000 0.0000 0.5000
Ba 0.0000 0.0000 0.0000
Ba 0.5000 0.5000 0.5000
Gd 0.7500 0.7500 0.7500
Gd 0.2500 0.2500 0.7500
Gd 0.2500 0.7500 0.2500
Gd 0.7500 0.2500 0.2500
W 0.2500 0.2500 0.2500
W 0.7500 0.7500 0.2500
W 0.7500 0.2500 0.7500
W 0.2500 0.7500 0.7500
O 0.0193 0.2336 0.2598
O 0.9807 0.7664 0.2598
O 0.9807 0.2336 0.7402
O 0.0193 0.7664 0.7402
O 0.2542 0.0197 0.2392
O 0.2542 0.9803 0.7608
O 0.7458 0.9803 0.2392
O 0.7458 0.0197 0.7608
O 0.2396 0.2601 0.0199
O 0.7604 0.2601 0.9801
O 0.2396 0.7399 0.9801
O 0.7604 0.7399 0.0199
O 0.4807 0.2664 0.2402
O 0.5193 0.7336 0.2402
O 0.5193 0.2664 0.7598
O 0.4807 0.7336 0.7598
O 0.2458 0.4803 0.2608
O 0.2458 0.5197 0.7392
O 0.7542 0.5197 0.2608
O 0.7542 0.4803 0.7392
O 0.2604 0.2399 0.4801
O 0.7396 0.2399 0.5199
O 0.2604 0.7601 0.5199
O 0.7396 0.7601 0.4801
CELL_PARAMETERS angstrom
8.5031 0.0000 0.0000
0.0000 8.5099 0.0000
0.0000 0.0000 8.5162

Entry 3:
! Li9Mn2Co5O16 (GGA+U, optimized geometry); values from VASP
! Space group: Pm
! E (MP2020), eV/cell: -207.9
! Size of the total moment, μB per formula unit: 14.001
! VASP energy, eV per atom: -5.793
! Distance to the lowest polymorph of the same formula, meV per atom: 62
! ΔH_f (0 K), meV/atom: -1802
&SYSTEM
  ibrav = 0, nat = 32, ntyp = 4
/
ATOMIC_SPECIES
Li 6.94 Li.upf
Mn 54.94 Mn.upf
Co 58.93 Co.upf
O 16.00 O.upf
ATOMIC_POSITIONS crystal
Li 0.5000 0.7442 0.8814
Li 0.5000 0.2507 0.6220
Li 0.5000 0.7356 0.3643
Li 0.0000 0.5005 0.0057
Li 0.0000 0.0046 0.7456
Li 0.0000 0.4952 0.4934
Li 0.5000 0.2657 0.1322
Li 0.0000 0.0001 0.2553
Li 0.0000 0.5001 0.2510
Mn 0.0000 0.9964 0.0014
Mn 0.5000 0.7519 0.6254
Co 0.0000 0.4987 0.7517
Co 0.0000 0.0083 0.4930
Co 0.5000 0.7260 0.1318
Co 0.5000 0.2528 0.8739
Co 0.5000 0.2743 0.3692
O 0.5000 0.0002 0.8889
O 0.5000 0.5200 0.6360
O 0.5000 0.9998 0.3861
O 0.0000 0.7689 0.0041
O 0.0000 0.2458 0.7589
O 0.0000 0.7496 0.5162
O 0.5000 0.5131 0.1203
O 0.0000 0.2452 0.2596
O 0.5000 0.4933 0.8673
O 0.5000 0.9840 0.6166
O 0.5000 0.4887 0.3779
O 0.0000 0.2331 0.9912
O 0.0000 0.7579 0.7357
O 0.0000 0.2428 0.4946
O 0.5000 0.9966 0.1085
O 0.0000 0.7558 0.2408
CELL_PARAMETERS angstrom
2.9126 0.0000 0.0000
0.0000 8.3825 0.0000
0.0000 0.0906 11.8475

Entry 4:
! LiV3OF11 (GGA+U, optimized geometry); values from VASP
! Space group: P1
! E (MP2020), eV/cell: -102.4
! Size of the total moment, μB per formula unit: 3.000
! VASP energy, eV per atom: -5.720
! Distance to the lowest polymorph of the same formula, meV per atom: 28
! ΔH_f (0 K), meV/atom: -2951
&SYSTEM
  ibrav = 0, nat = 16, ntyp = 4
/
ATOMIC_SPECIES
Li 6.94 Li.upf
V 50.94 V.upf
O 16.00 O.upf
F 19.00 F.upf
ATOMIC_POSITIONS crystal
Li 0.1866 0.5266 0.6226
V 0.5930 0.1596 0.3631
V 0.3166 0.6596 0.1612
V 0.9747 0.9761 0.9555
O 0.3053 0.9677 0.1552
F 0.8306 0.0742 0.1972
F 0.9651 0.6657 0.0099
F 0.8714 0.3113 0.5678
F 0.6584 0.9304 0.8098
F 0.5488 0.4039 0.2389
F 0.6126 0.8416 0.3876
F 0.3964 0.2549 0.5338
F 0.4159 0.5650 0.9308
F 0.1777 0.6152 0.3644
F 0.0951 0.2723 0.9884
F 0.0957 0.8497 0.7354
CELL_PARAMETERS angstrom
5.4780 0.0000 0.0000
-0.3414 6.0082 0.0000
-1.6578 -1.8573 6.5947